No. 1
{"formula": "SrMg14NbO16", "functional": "PBE-GGA", "state": "optimized geometry", "formation_enthalpy_0k_ev_per_atom": -2.82, "de_polymorph_mev_per_atom": 9, "cell": [[-4.6174, -2.5280, 6.9363], [7.3709, -0.1346, 4.8577], [-0.6528, 4.2316, 1.1077]], "species": ["Sr", "Mg", "Mg", "Mg", "Mg", "Mg", "Mg", "Mg", "Mg", "Mg", "Mg", "Mg", "Mg", "Mg", "Mg", "Nb", "O", "O", "O", "O", "O", "O", "O", "O", "O", "O", "O", "O", "O", "O", "O", "O"], "fractional_positions": [[0.0000, 0.0000, 0.0000], [0.5000, 0.0000, 0.0000], [0.5000, 0.5000, 0.0000], [0.0000, 0.2525, 0.5000], [0.0000, 0.7475, 0.5000], [0.5000, 0.2503, 0.5000], [0.5000, 0.7497, 0.5000], [0.2602, 0.0000, 0.5000], [0.2560, 0.5000, 0.5000], [0.7398, 0.0000, 0.5000], [0.7440, 0.5000, 0.5000], [0.2583, 0.2526, 0.0000], [0.2583, 0.7474, 0.0000], [0.7417, 0.2526, 0.0000], [0.7417, 0.7474, 0.0000], [0.0000, 0.5000, 0.0000], [0.2725, 0.0000, 0.0000], [0.2628, 0.5000, 0.0000], [0.7275, 0.0000, 0.0000], [0.7372, 0.5000, 0.0000], [0.2490, 0.2503, 0.5000], [0.2490, 0.7497, 0.5000], [0.7510, 0.2503, 0.5000], [0.7510, 0.7497, 0.5000], [0.0000, 0.0000, 0.5000], [0.0000, 0.5000, 0.5000], [0.5000, 0.0000, 0.5000], [0.5000, 0.5000, 0.5000], [0.0000, 0.2592, 0.0000], [0.0000, 0.7408, 0.0000], [0.5000, 0.2535, 0.0000], [0.5000, 0.7465, 0.0000]]}

---

No. 2
{"formula": "Nb5V5Si6", "functional": "PBE-GGA", "state": "optimized geometry", "formation_enthalpy_0k_ev_per_atom": -0.37, "cell": [[1.0630, -2.7444, -4.3244], [5.8952, 4.0959, -1.1498], [0.6005, -6.1747, 4.0660]], "species": ["Nb", "Nb", "Nb", "Nb", "Nb", "V", "V", "V", "V", "V", "Si", "Si", "Si", "Si", "Si", "Si"], "fractional_positions": [[0.4984, 0.3350, 0.6708], [0.4984, 0.6641, 0.3292], [0.0016, 0.6642, 0.3292], [0.0016, 0.3349, 0.6708], [0.7500, 0.2245, 0.0000], [0.7501, 0.7492, 0.7451], [0.7501, 0.0041, 0.2549], [0.2500, 0.7537, 0.0000], [0.2500, 0.2656, 0.2677], [0.2500, 0.9979, 0.7323], [0.7500, 0.6209, 0.0000], [0.7500, 0.3908, 0.3962], [0.7500, 0.9946, 0.6038], [0.2499, 0.3780, 0.0000], [0.2501, 0.6207, 0.6190], [0.2501, 0.0018, 0.3810]]}

---

No. 3
{"formula": "SrEuHfSbO6", "functional": "PBE-GGA", "state": "optimized geometry", "formation_enthalpy_0k_ev_per_atom": -2.98, "cell": [[0.0000, -4.1837, -4.1837], [4.1837, 0.0000, -4.1837], [4.1837, -4.1837, 0.0000]], "species": ["Sr", "Eu", "Hf", "Sb", "O", "O", "O", "O", "O", "O"], "fractional_positions": [[0.2500, 0.2500, 0.2500], [0.7500, 0.7500, 0.7500], [0.0000, 0.0000, 0.0000], [0.5000, 0.5000, 0.5000], [0.7538, 0.2462, 0.2462], [0.2462, 0.7538, 0.7538], [0.7538, 0.2462, 0.7538], [0.2462, 0.7538, 0.2462], [0.7538, 0.7538, 0.2462], [0.2462, 0.2462, 0.7538]]}

---

No. 4
{"formula": "Rb2CeAgF6", "functional": "PBE-GGA", "state": "optimized geometry", "formation_enthalpy_0k_ev_per_atom": -3.12, "cell": [[0.0000, 4.7395, 4.7395], [4.7395, 0.0000, 4.7395], [4.7395, 4.7395, 0.0000]], "species": ["Rb", "Rb", "Ce", "Ag", "F", "F", "F", "F", "F", "F"], "fractional_positions": [[0.7500, 0.7500, 0.7500], [0.2500, 0.2500, 0.2500], [0.5000, 0.5000, 0.5000], [0.0000, 0.0000, 0.0000], [0.7408, 0.2592, 0.2592], [0.2592, 0.2592, 0.7408], [0.2592, 0.7408, 0.7408], [0.2592, 0.7408, 0.2592], [0.7408, 0.2592, 0.7408], [0.7408, 0.7408, 0.2592]]}

---

No. 5
{"formula": "Na9Mg2Ta4Si6P3O36", "functional": "PBE-GGA", "state": "optimized geometry", "formation_enthalpy_0k_ev_per_atom": -2.98, "de_polymorph_mev_per_atom": 0, "cell": [[-1.1840, 8.8317, 1.4946], [3.3694, -16.8989, 20.8432], [22.0316, 3.0967, -0.9940]], "species": ["Na", "Na", "Na", "Na", "Na", "Na", "Na", "Na", "Na", "Na", "Na", "Na", "Na", "Na", "Na", "Na", "Na", "Na", "Na", "Na", "Na", "Na", "Na", "Na", "Na", "Na", "Na", "Na", "Na", "Na", "Na", "Na", "Na", "Na", "Na", "Na", "Na", "Na", "Na", "Na", "Na", "Na", "Na", "Na", "Na", "Na", "Na", "Na", "Na", "Na", "Na", "Na", "Na", "Na", "Mg", "Mg", "Mg", "Mg", "Mg", "Mg", "Mg", "Mg", "Mg", "Mg", "Mg", "Mg", "Ta", "Ta", "Ta", "Ta", "Ta", "Ta", "Ta", "Ta", "Ta", "Ta", "Ta", "Ta", "Ta", "Ta", "Ta", "Ta", "Ta", "Ta", "Ta", "Ta", "Ta", "Ta", "Ta", "Ta", "Si", "Si", "Si", "Si", "Si", "Si", "Si", "Si", "Si", "Si", "Si", "Si", "Si", "Si", "Si", "Si", "Si", "Si", "Si", "Si", "Si", "Si", "Si", "Si", "Si", "Si", "Si", "Si", "Si", "Si", "Si", "Si", "Si", "Si", "Si", "Si", "P", "P", "P", "P", "P", "P", "P", "P", "P", "P", "P", "P", "P", "P", "P", "P", "P", "P", "O", "O", "O", "O", "O", "O", "O", "O", "O", "O", "O", "O", "O", "O", "O", "O", "O", "O", "O", "O", "O", "O", "O", "O", "O", "O", "O", "O", "O", "O", "O", "O", "O", "O", "O", "O", "O", "O", "O", "O", "O", "O", "O", "O", "O", "O", "O", "O", "O", "O", "O", "O", "O", "O", "O", "O", "O", "O", "O", "O", "O", "O", "O", "O", "O", "O", "O", "O", "O", "O", "O", "O", "O", "O", "O", "O", "O", "O", "O", "O", "O", "O", "O", "O", "O", "O", "O", "O", "O", "O", "O", "O", "O", "O", "O", "O", "O", "O", "O", "O", "O", "O", "O", "O", "O", "O", "O", "O", "O", "O", "O", "O", "O", "O", "O", "O", "O", "O", "O", "O", "O", "O", "O", "O", "O", "O", "O", "O", "O", "O", "O", "O", "O", "O", "O", "O", "O", "O", "O", "O", "O", "O", "O", "O", "O", "O", "O", "O", "O", "O", "O", "O", "O", "O", "O", "O", "O", "O", "O", "O", "O", "O", "O", "O", "O", "O", "O", "O", "O", "O", "O", "O", "O", "O", "O", "O", "O", "O", "O", "O", "O", "O", "O", "O", "O", "O", "O", "O", "O", "O", "O", "O", "O", "O", "O", "O", "O", "O", "O", "O", "O", "O", "O", "O", "O", "O", "O", "O", "O", "O", "O", "O", "O", "O", "O", "O"], "fractional_positions": [[0.0187, 0.9994, 0.4946], [0.0054, 0.3282, 0.5025], [0.9964, 0.6670, 0.4993], [0.9861, 0.0082, 0.0008], [0.0193, 0.3407, 0.0011], [0.0034, 0.6661, 0.0081], [0.6851, 0.1106, 0.8317], [0.6443, 0.4446, 0.8428], [0.6849, 0.7765, 0.8255], [0.6587, 0.1047, 0.3254], [0.6711, 0.4422, 0.3372], [0.6687, 0.7802, 0.3336], [0.3242, 0.2195, 0.1636], [0.3158, 0.5570, 0.1703], [0.3394, 0.8944, 0.1634], [0.3202, 0.2180, 0.6684], [0.3443, 0.5561, 0.6715], [0.2899, 0.8849, 0.6609], [0.6239, 0.6615, 0.2568], [0.3776, 0.1204, 0.2432], [0.3646, 0.4598, 0.2574], [0.3482, 0.7855, 0.2398], [0.9902, 0.2070, 0.2420], [0.0220, 0.5490, 0.2508], [0.6071, 0.2046, 0.7473], [0.6223, 0.5422, 0.7607], [0.6215, 0.8697, 0.7423], [0.9922, 0.1277, 0.7496], [0.0173, 0.4620, 0.7571], [0.3844, 0.0038, 0.7424], [0.3735, 0.3290, 0.7585], [0.3863, 0.6670, 0.7494], [0.3103, 0.7834, 0.5749], [0.0146, 0.5634, 0.5742], [0.6715, 0.3259, 0.5747], [0.6574, 0.9871, 0.5760], [0.3132, 0.3291, 0.0713], [0.3062, 0.9859, 0.0732], [0.6638, 0.2261, 0.0893], [0.6795, 0.5710, 0.0886], [0.6582, 0.9008, 0.0715], [0.0559, 0.7785, 0.0846], [0.9585, 0.5506, 0.9258], [0.9894, 0.8928, 0.9215], [0.6968, 0.3463, 0.9251], [0.3437, 0.1052, 0.9102], [0.3291, 0.7715, 0.9246], [0.9685, 0.0953, 0.4093], [0.9533, 0.4344, 0.4250], [0.9957, 0.7753, 0.4272], [0.3129, 0.0076, 0.4154], [0.3455, 0.3485, 0.4288], [0.6996, 0.5518, 0.4266], [0.7106, 0.8948, 0.4072], [0.9961, 0.9973, 0.3512], [0.0084, 0.6683, 0.1456], [0.6726, 0.1132, 0.6850], [0.6680, 0.7756, 0.6890], [0.6725, 0.1131, 0.1855], [0.6537, 0.4408, 0.9826], [0.6637, 0.4433, 0.4833], [0.3301, 0.8885, 0.0178], [0.3250, 0.8885, 0.5193], [0.3386, 0.5593, 0.3142], [0.3293, 0.2194, 0.8145], [0.3388, 0.5586, 0.8123], [0.9911, 0.3330, 0.3547], [0.0106, 0.6679, 0.3526], [0.9970, 0.0004, 0.8559], [0.0080, 0.3348, 0.8560], [0.9898, 0.6642, 0.8569], [0.0027, 0.9986, 0.6426], [0.0012, 0.3323, 0.6439], [0.9992, 0.6699, 0.6437], [0.9965, 0.9998, 0.1488], [0.9935, 0.3322, 0.1456], [0.6686, 0.4446, 0.6856], [0.6677, 0.4428, 0.1848], [0.6646, 0.7757, 0.1893], [0.6718, 0.1105, 0.9808], [0.6690, 0.7789, 0.9767], [0.6669, 0.1134, 0.4830], [0.6700, 0.7780, 0.4805], [0.3322, 0.2217, 0.0171], [0.3281, 0.5549, 0.0198], [0.3352, 0.2220, 0.5236], [0.3376, 0.5566, 0.5213], [0.3400, 0.2215, 0.3123], [0.3263, 0.8894, 0.3129], [0.3312, 0.8885, 0.8128], [0.2896, 0.3334, 0.2503], [0.2904, 0.6637, 0.2454], [0.7041, 0.2339, 0.2494], [0.7000, 0.9030, 0.2527], [0.9970, 0.4309, 0.2513], [0.9976, 0.7633, 0.2468], [0.2946, 0.4306, 0.7500], [0.2879, 0.7623, 0.7513], [0.0029, 0.5710, 0.7490], [0.9995, 0.9018, 0.7502], [0.7103, 0.0006, 0.7483], [0.7085, 0.3320, 0.7496], [0.9576, 0.1106, 0.5871], [0.9581, 0.4435, 0.5793], [0.3747, 0.3468, 0.5806], [0.3773, 0.6819, 0.5883], [0.6656, 0.2077, 0.5906], [0.6634, 0.5412, 0.5808], [0.9619, 0.2079, 0.0873], [0.9600, 0.8747, 0.0834], [0.6678, 0.3470, 0.0771], [0.6668, 0.6808, 0.0836], [0.3751, 0.1107, 0.0858], [0.3763, 0.4449, 0.0839], [0.6297, 0.2231, 0.9142], [0.6240, 0.8909, 0.9197], [0.0394, 0.1263, 0.9095], [0.0427, 0.7915, 0.9213], [0.3321, 0.6520, 0.9113], [0.3400, 0.9868, 0.9190], [0.6257, 0.3203, 0.4184], [0.6289, 0.6525, 0.4135], [0.3378, 0.1250, 0.4165], [0.3400, 0.7932, 0.4191], [0.0460, 0.2219, 0.4163], [0.0434, 0.8922, 0.4204], [0.2921, 0.0002, 0.2529], [0.7145, 0.5699, 0.2471], [0.9990, 0.0963, 0.2546], [0.2856, 0.0969, 0.7489], [0.9941, 0.2361, 0.7518], [0.7120, 0.6678, 0.7499], [0.9595, 0.7805, 0.5869], [0.3760, 0.0134, 0.5867], [0.6688, 0.8743, 0.5861], [0.9569, 0.5404, 0.0788], [0.6672, 0.0153, 0.0875], [0.3751, 0.7765, 0.0835], [0.6184, 0.5532, 0.9148], [0.0452, 0.4591, 0.9120], [0.3359, 0.3208, 0.9127], [0.6193, 0.9858, 0.4201], [0.3295, 0.4593, 0.4137], [0.0404, 0.5550, 0.4125], [0.2119, 0.0078, 0.3094], [0.1987, 0.3453, 0.3085], [0.1889, 0.6710, 0.3064], [0.8296, 0.2748, 0.3049], [0.8285, 0.6004, 0.3043], [0.8029, 0.9280, 0.3126], [0.9990, 0.0664, 0.3119], [0.9801, 0.3954, 0.3143], [0.9709, 0.7207, 0.3056], [0.1893, 0.0636, 0.8069], [0.1997, 0.3916, 0.8106], [0.1726, 0.7201, 0.8078], [0.9924, 0.2719, 0.8078], [0.9715, 0.5989, 0.8106], [0.9991, 0.9401, 0.8087], [0.8318, 0.0052, 0.8060], [0.8362, 0.3416, 0.8082], [0.8116, 0.6650, 0.8065], [0.8053, 0.3263, 0.6901], [0.8194, 0.6678, 0.6945], [0.8063, 0.9918, 0.6886], [0.1726, 0.0611, 0.6939], [0.1690, 0.3925, 0.6950], [0.1784, 0.7336, 0.6886], [0.9969, 0.2715, 0.6963], [0.0130, 0.6121, 0.6920], [0.0237, 0.9433, 0.6914], [0.7998, 0.2685, 0.1878], [0.7904, 0.6051, 0.1906], [0.8049, 0.9434, 0.1934], [0.0203, 0.0633, 0.1993], [0.0013, 0.3896, 0.1979], [0.0392, 0.7406, 0.1871], [0.1665, 0.3223, 0.1919], [0.1682, 0.6546, 0.1906], [0.1725, 0.9926, 0.1962], [0.8841, 0.1195, 0.6484], [0.8651, 0.4544, 0.6390], [0.8657, 0.7826, 0.6410], [0.4770, 0.0435, 0.6428], [0.5027, 0.3808, 0.6393], [0.4689, 0.7027, 0.6510], [0.6417, 0.1756, 0.6522], [0.6417, 0.5024, 0.6418], [0.6444, 0.8387, 0.6418], [0.8927, 0.1769, 0.1498], [0.8660, 0.5030, 0.1372], [0.8405, 0.8310, 0.1376], [0.6475, 0.0459, 0.1406], [0.6433, 0.3832, 0.1343], [0.6424, 0.7080, 0.1467], [0.4930, 0.1287, 0.1444], [0.4975, 0.4577, 0.1457], [0.4769, 0.7738, 0.1392], [0.4641, 0.0975, 0.0278], [0.4539, 0.4264, 0.0308], [0.4833, 0.7807, 0.0263], [0.8252, 0.1709, 0.0336], [0.8531, 0.5102, 0.0232], [0.8471, 0.8476, 0.0212], [0.6854, 0.0492, 0.0280], [0.6939, 0.3801, 0.0162], [0.6823, 0.7254, 0.0295], [0.4673, 0.0504, 0.5286], [0.4518, 0.3821, 0.5207], [0.4867, 0.7264, 0.5326], [0.6831, 0.1716, 0.5325], [0.7106, 0.5172, 0.5230], [0.6893, 0.8448, 0.5281], [0.8284, 0.0995, 0.5284], [0.8403, 0.4290, 0.5214], [0.8587, 0.7771, 0.5273], [0.5380, 0.2356, 0.9727], [0.5203, 0.5581, 0.9708], [0.5433, 0.8978, 0.9797], [0.1774, 0.1643, 0.9637], [0.1538, 0.4898, 0.9694], [0.1548, 0.8137, 0.9808], [0.3239, 0.2859, 0.9710], [0.3052, 0.6074, 0.9674], [0.2871, 0.9464, 0.9768], [0.5360, 0.2860, 0.4800], [0.5197, 0.6084, 0.4694], [0.5444, 0.9514, 0.4774], [0.3302, 0.1656, 0.4695], [0.3046, 0.4903, 0.4692], [0.2966, 0.8158, 0.4787], [0.1772, 0.2352, 0.4721], [0.1461, 0.5594, 0.4702], [0.1637, 0.9014, 0.4758], [0.1307, 0.2099, 0.3559], [0.1254, 0.5500, 0.3558], [0.1394, 0.8818, 0.3603], [0.5015, 0.2804, 0.3617], [0.5342, 0.6293, 0.3518], [0.4987, 0.9540, 0.3649], [0.3538, 0.1606, 0.3531], [0.3384, 0.4911, 0.3563], [0.3654, 0.8346, 0.3604], [0.1053, 0.1567, 0.8464], [0.1337, 0.4928, 0.8556], [0.1432, 0.8349, 0.8637], [0.3455, 0.2902, 0.8566], [0.3602, 0.6298, 0.8491], [0.3601, 0.9552, 0.8582], [0.5123, 0.2079, 0.8556], [0.5252, 0.5494, 0.8567], [0.5043, 0.8817, 0.8598], [0.0314, 0.2799, 0.4084], [0.0217, 0.6102, 0.4122], [0.0091, 0.9445, 0.4126], [0.8173, 0.3258, 0.4137], [0.8213, 0.6576, 0.4147], [0.7998, 0.9963, 0.4106], [0.1691, 0.0633, 0.4173], [0.1641, 0.3977, 0.4156], [0.1701, 0.7294, 0.4056], [0.0309, 0.0635, 0.9137], [0.0276, 0.3977, 0.9130], [0.0133, 0.7272, 0.9077], [0.1678, 0.3251, 0.9137], [0.1521, 0.6562, 0.9143], [0.1770, 0.9986, 0.9078], [0.8189, 0.2824, 0.9116], [0.8006, 0.6101, 0.9161], [0.8236, 0.9441, 0.9111], [0.9733, 0.0514, 0.5866], [0.9849, 0.3886, 0.5914], [0.9706, 0.7231, 0.5851], [0.1946, 0.0087, 0.5868], [0.1816, 0.3359, 0.5929], [0.1821, 0.6760, 0.5844], [0.8345, 0.2729, 0.5859], [0.8292, 0.6063, 0.5921], [0.8378, 0.9350, 0.5869], [0.9832, 0.2731, 0.0839], [0.9728, 0.5988, 0.0849], [0.9682, 0.9375, 0.0914], [0.8361, 0.0104, 0.0909], [0.8268, 0.3355, 0.0904], [0.8337, 0.6740, 0.0830], [0.1845, 0.0527, 0.0923], [0.1827, 0.3903, 0.0959], [0.1989, 0.7236, 0.0792], [0.6862, 0.0555, 0.7484], [0.7042, 0.3927, 0.7442], [0.6962, 0.7205, 0.7517], [0.4593, 0.1005, 0.7498], [0.4791, 0.4315, 0.7458], [0.4730, 0.7681, 0.7525], [0.8304, 0.1782, 0.7553], [0.8246, 0.5082, 0.7439], [0.8283, 0.8420, 0.7489], [0.6865, 0.1721, 0.2548], [0.7130, 0.5109, 0.2452], [0.6655, 0.8373, 0.2391], [0.8463, 0.1051, 0.2493], [0.8237, 0.4364, 0.2435], [0.8219, 0.7680, 0.2472], [0.4686, 0.0519, 0.2433], [0.4777, 0.3914, 0.2419], [0.4761, 0.7250, 0.2469], [0.6512, 0.1675, 0.9300], [0.6546, 0.5038, 0.9217], [0.6439, 0.8326, 0.9193], [0.8512, 0.1165, 0.9275], [0.8649, 0.4511, 0.9159], [0.8537, 0.7876, 0.9218], [0.5064, 0.0515, 0.9223], [0.4937, 0.3803, 0.9158], [0.4871, 0.7173, 0.9276], [0.6250, 0.0453, 0.4217], [0.6438, 0.3824, 0.4132], [0.6631, 0.7171, 0.4302], [0.5101, 0.1191, 0.4236], [0.4889, 0.4534, 0.4195], [0.5141, 0.7877, 0.4225], [0.8605, 0.1637, 0.4269], [0.8588, 0.5032, 0.4170], [0.8544, 0.8311, 0.4233], [0.3497, 0.1661, 0.0693], [0.3638, 0.5033, 0.0756], [0.3686, 0.8319, 0.0896], [0.1551, 0.2197, 0.0712], [0.1377, 0.5446, 0.0766], [0.1463, 0.8814, 0.0844], [0.4920, 0.2833, 0.0796], [0.4932, 0.6174, 0.0721], [0.5141, 0.9546, 0.0822], [0.3618, 0.2836, 0.5823], [0.3394, 0.6170, 0.5701], [0.3600, 0.9546, 0.5822], [0.5027, 0.2177, 0.5772], [0.4905, 0.5474, 0.5761], [0.5166, 0.8844, 0.5794], [0.1479, 0.1651, 0.5726], [0.1431, 0.5028, 0.5743], [0.1452, 0.8292, 0.5827], [0.3015, 0.2752, 0.2573], [0.3250, 0.6113, 0.2523], [0.3020, 0.9439, 0.2548], [0.5154, 0.2299, 0.2523], [0.5320, 0.5581, 0.2558], [0.5051, 0.8950, 0.2529], [0.1706, 0.1571, 0.2501], [0.1655, 0.4926, 0.2491], [0.1648, 0.8261, 0.2618], [0.2959, 0.1552, 0.7457], [0.3194, 0.4934, 0.7512], [0.3050, 0.8257, 0.7582], [0.1577, 0.2328, 0.7502], [0.1681, 0.5636, 0.7482], [0.1827, 0.9018, 0.7540], [0.5199, 0.2773, 0.7537], [0.5397, 0.6119, 0.7470], [0.5256, 0.9406, 0.7548]]}